Computed, not measured: a relaxed ThSiSe crystal at the r2SCAN level of DFT.

```
6
Lattice="-2.002 2.002 8.870 2.002 -2.002 8.870 2.002 2.002 -8.870" Properties=species:S:1:pos:R:3 pbc="T T T"
Th 0.000 0.000 15.430
Th 0.000 0.000 2.309
Si 2.002 0.000 0.000
Si 0.000 2.002 0.000
Se 0.000 0.000 12.216
Se 0.000 0.000 5.523
```

## Properties
* crystal system: tetragonal
* E_form: -1.351 eV/atom

=====

Computed, not measured: a relaxed Ba3Cr2O8 crystal at the r2SCAN level of DFT.

```
26
Lattice="3.098 -4.865 0.000 5.371 0.003 5.801 -7.631 -4.861 4.214" Properties=species:S:1:pos:R:3 pbc="T T T"
Ba -2.344 -4.905 2.149
Ba -0.067 -0.062 0.043
Ba -3.847 -5.863 5.996
Ba 1.524 -5.875 3.889
Ba -0.694 -3.867 6.131
Ba 4.665 -3.861 4.025
Cr -0.009 -6.844 7.870
Cr 0.844 -2.893 2.149
Cr 2.257 -1.980 5.764
Cr -1.434 -7.739 4.255
O -4.727 -6.335 3.540
O -2.381 -1.598 1.433
O 3.435 -8.017 8.468
O 5.743 -3.216 6.362
O -2.457 -8.396 5.451
O -0.181 -3.546 3.345
O -1.381 -6.043 4.478
O 0.890 -1.197 2.363
O -2.974 -3.551 4.465
O 2.403 -3.564 2.368
O -0.086 -8.536 7.685
O 2.158 -3.681 5.603
O 1.011 -6.238 6.638
O 3.239 -1.315 4.531
O -1.593 -6.217 7.707
O 3.788 -6.201 5.574
```

## Properties
* crystal system: triclinic
* E_form: -2.686 eV/atom
* energy relative to the lowest polymorph listed for this composition: 0.000 eV/atom

=====

Computed, not measured: a relaxed NdSbO4 crystal at the r2SCAN level of DFT.

```
24
Lattice="5.515 0.000 0.000 0.000 7.663 0.009 0.000 1.366 7.552" Properties=species:S:1:pos:R:3 pbc="T T T"
Nd 1.512 0.979 1.137
Nd 4.269 4.218 6.420
Nd 4.003 8.050 6.425
Nd 1.246 4.811 1.141
Sb 4.237 2.772 2.545
Sb 1.480 2.426 5.011
Sb 1.278 6.257 5.016
Sb 4.036 6.604 2.550
O 5.387 2.670 0.912
O 2.629 2.528 6.644
O 0.129 6.359 6.649
O 2.886 6.502 0.917
O 3.534 0.878 2.516
O 0.777 4.320 5.041
O 1.981 8.151 5.046
O 4.738 4.710 2.520
O 5.497 6.909 1.309
O 2.739 5.952 6.257
O 0.018 2.121 6.252
O 2.776 3.077 1.305
O 5.028 6.877 4.239
O 2.271 5.984 3.327
O 0.487 2.153 3.322
O 3.244 3.045 4.234
```

## Properties
* crystal system: monoclinic
* E_form: -2.602 eV/atom

=====

Computed, not measured: a relaxed Na2MgH20S2O18 crystal at the r2SCAN level of DFT.

```
86
Lattice="12.410 0.000 -0.013 0.000 6.449 0.000 -2.809 0.000 9.388" Properties=species:S:1:pos:R:3 pbc="T T T"
Na 9.648 1.594 8.439
Na -1.452 4.818 5.631
Na -0.047 4.855 0.936
Na 11.052 1.631 3.745
Mg 6.205 3.225 -0.006
Mg 4.800 0.000 4.688
H 7.692 5.963 8.615
H 0.504 2.739 5.455
H 1.908 0.486 0.761
H 9.097 3.711 3.920
H 8.699 5.200 7.673
H -0.503 1.975 6.397
H 0.901 1.249 1.703
H 10.104 4.474 2.978
H 10.343 2.516 0.850
H 0.662 5.741 3.831
H -0.742 3.933 8.526
H 8.938 0.708 5.544
H 7.492 3.389 8.949
H 0.704 0.165 5.120
H 2.108 3.060 0.426
H 8.897 6.285 4.255
H 4.035 3.746 1.506
H 6.970 0.522 3.175
H 5.565 2.703 7.869
H 2.631 5.927 6.200
H 4.315 5.078 0.686
H 6.690 1.853 3.995
H 5.285 1.372 8.689
H 2.911 4.596 5.380
H 3.940 5.087 7.538
H 4.256 1.862 6.531
H 5.661 1.362 1.837
H 5.344 4.587 2.844
H 4.754 5.504 8.842
H 3.442 2.279 5.228
H 4.846 0.946 0.533
H 6.159 4.170 4.148
H 7.733 4.349 1.925
H 3.272 1.125 2.756
H 1.867 2.100 7.450
H 6.329 5.325 6.619
H 8.164 2.808 1.788
H 2.841 6.033 2.893
H 1.437 3.641 7.587
H 6.759 0.417 6.483
S 9.203 0.105 1.572
S 1.802 3.329 3.110
S 0.398 6.344 7.804
S 7.798 3.120 6.266
O 9.349 1.531 1.933
O 1.656 4.756 2.748
O 0.252 4.918 7.443
O 7.944 1.693 6.627
O 8.095 5.969 2.381
O 2.911 2.745 2.301
O 1.506 0.480 6.995
O 6.690 3.704 7.075
O 10.442 5.842 1.883
O 0.563 2.617 2.798
O -0.842 0.608 7.492
O 9.038 3.832 6.578
O 8.884 6.436 0.125
O 2.121 3.211 4.556
O 0.716 0.013 9.251
O 7.479 3.238 4.819
O 8.632 5.873 8.377
O -0.436 2.649 5.692
O 0.968 0.576 0.998
O 10.037 3.801 3.683
O 10.905 3.017 0.224
O 0.100 6.242 4.457
O -1.304 3.432 9.151
O 9.500 0.207 4.918
O 4.747 4.297 1.099
O 6.258 1.073 3.582
O 4.853 2.152 8.277
O 3.343 5.377 5.793
O 4.018 4.953 8.503
O 4.178 1.729 5.567
O 5.582 1.496 0.873
O 5.423 4.721 3.808
O 7.464 3.465 1.590
O 3.542 0.241 3.092
O 2.137 2.984 7.786
O 6.059 6.208 6.284
```

## Properties
* crystal system: monoclinic
* E_form: -1.361 eV/atom

=====

Computed, not measured: a relaxed Ho3Se3N crystal at the r2SCAN level of DFT.

```
28
Lattice="-3.065 -6.429 2.810 1.619 1.246 7.379 -10.707 3.198 5.605" Properties=species:S:1:pos:R:3 pbc="T T T"
Ho -7.879 -2.115 10.042
Ho -0.235 0.969 6.675
Ho -3.172 1.006 9.625
Ho -4.538 -1.799 11.222
Ho -11.919 -2.954 9.119
Ho -10.296 0.634 7.902
Ho -8.981 -2.990 6.169
Ho -1.857 -2.619 7.891
Ho -0.769 0.662 3.225
Ho -4.274 0.130 5.752
Ho -11.384 -2.646 12.568
Ho -7.616 -0.186 4.572
Se -6.483 -4.492 6.304
Se -1.717 -1.068 5.457
Se -7.872 -0.781 7.479
Se -9.911 -0.474 13.914
Se -8.517 2.546 12.345
Se -5.670 2.508 9.490
Se -6.352 2.127 5.896
Se -3.636 -4.530 3.449
Se -2.243 -1.511 1.880
Se -10.437 -0.917 10.337
Se -5.801 -4.111 9.897
Se -4.282 -1.203 8.315
N -9.623 2.719 8.257
N -6.639 -1.064 11.554
N -5.514 -0.920 4.240
N -2.531 -4.704 7.537
```

## Properties
* crystal system: monoclinic
* E_form: -2.164 eV/atom

=====

Computed, not measured: a relaxed Zr6CoSb2 crystal at the r2SCAN level of DFT.

```
9
Lattice="-0.898 3.958 6.664 -2.767 -7.269 -0.624 3.163 -1.307 1.202" Properties=species:S:1:pos:R:3 pbc="T T T"
Zr 1.367 0.292 2.193
Zr 0.921 -2.389 0.452
Zr -1.208 -3.174 5.199
Zr -0.536 2.364 3.981
Zr -1.653 -4.342 -0.373
Zr -1.476 -1.333 2.432
Co 0.000 0.000 0.000
Sb -0.562 -4.180 2.407
Sb 0.061 -0.438 4.836
```

## Properties
* crystal system: hexagonal
* E_form: -0.613 eV/atom

=====

Computed, not measured: a relaxed ScMnSi crystal at the r2SCAN level of DFT.

```
9
Lattice="-4.852 -0.343 4.537 2.648 -5.582 -2.467 2.643 0.005 2.827" Properties=species:S:1:pos:R:3 pbc="T T T"
Sc 0.405 -2.461 2.274
Sc -1.513 -0.198 4.064
Sc -1.983 -3.602 4.510
Mn 0.638 -1.345 -0.594
Mn -1.169 -0.083 1.093
Mn -1.673 -4.497 1.572
Si -3.530 -0.341 5.951
Si -2.352 -2.089 2.203
Si 0.148 -3.835 -0.132
```

## Properties
* crystal system: hexagonal
* E_form: -0.687 eV/atom

=====

Computed, not measured: a relaxed CsGdTe4 crystal at the r2SCAN level of DFT.

```
12
Lattice="6.934 0.000 0.000 0.000 6.934 0.000 0.000 0.000 9.541" Properties=species:S:1:pos:R:3 pbc="T T T"
Cs 3.467 3.467 0.000
Cs 0.000 0.000 0.000
Gd 3.467 3.467 4.771
Gd 0.000 0.000 4.771
Te 2.475 5.942 2.927
Te 5.942 4.460 2.927
Te 0.992 2.475 2.927
Te 4.460 0.992 2.927
Te 0.992 4.460 6.614
Te 4.460 5.942 6.614
Te 2.475 0.992 6.614
Te 5.942 2.475 6.614
```

## Properties
* crystal system: tetragonal
* E_form: -1.117 eV/atom

=====

Question: The highest E_form belongs to which entry?
Answer: Zr6CoSb2

=====

Please write out number 5 again, unchanged.
Computed, not measured: a relaxed Ho3Se3N crystal at the r2SCAN level of DFT.

```
28
Lattice="-3.065 -6.429 2.810 1.619 1.246 7.379 -10.707 3.198 5.605" Properties=species:S:1:pos:R:3 pbc="T T T"
Ho -7.879 -2.115 10.042
Ho -0.235 0.969 6.675
Ho -3.172 1.006 9.625
Ho -4.538 -1.799 11.222
Ho -11.919 -2.954 9.119
Ho -10.296 0.634 7.902
Ho -8.981 -2.990 6.169
Ho -1.857 -2.619 7.891
Ho -0.769 0.662 3.225
Ho -4.274 0.130 5.752
Ho -11.384 -2.646 12.568
Ho -7.616 -0.186 4.572
Se -6.483 -4.492 6.304
Se -1.717 -1.068 5.457
Se -7.872 -0.781 7.479
Se -9.911 -0.474 13.914
Se -8.517 2.546 12.345
Se -5.670 2.508 9.490
Se -6.352 2.127 5.896
Se -3.636 -4.530 3.449
Se -2.243 -1.511 1.880
Se -10.437 -0.917 10.337
Se -5.801 -4.111 9.897
Se -4.282 -1.203 8.315
N -9.623 2.719 8.257
N -6.639 -1.064 11.554
N -5.514 -0.920 4.240
N -2.531 -4.704 7.537
```

## Properties
* crystal system: monoclinic
* E_form: -2.164 eV/atom

=====

Question: Which formula does entry 3 have?
Answer: NdSbO4

=====

Question: What is the formula in the sixth record?
Answer: Zr6CoSb2